[1]
This record from Materials Project describes a relaxed CoNiP2O8 crystal. The functional is PBE+U.

The structure in extended XYZ format:
```
24
Lattice="4.787 0.000 0.000 0.000 5.803 0.000 -0.051 0.000 9.883" Properties=species:S:1:pos:R:3 pbc="T T T"
Co 0.250 1.451 2.182
Co 4.486 4.352 7.701
Ni 2.133 1.451 7.192
Ni 2.603 4.352 2.691
P 0.376 4.352 0.915
P 1.883 4.352 5.909
P 2.854 1.451 3.974
P 4.360 1.451 8.969
O 0.762 4.352 9.321
O 1.076 3.146 1.667
O 1.076 5.558 1.667
O 1.082 1.451 8.856
O 1.168 3.163 6.634
O 1.168 5.540 6.634
O 1.320 1.451 3.779
O 1.613 4.352 4.408
O 3.123 1.451 5.475
O 3.416 4.352 6.104
O 3.568 0.262 3.249
O 3.568 2.639 3.249
O 3.654 4.352 1.028
O 3.660 0.245 8.217
O 3.660 2.657 8.217
O 3.974 1.451 0.562
```

Summary:
- Size of the total moment: 2.1 μB per cell
- Crystal system: monoclinic
- Energy of formation from the pure elements: -184 kJ/mol of atoms

=====

[2]
This record from Materials Project describes a relaxed Co2Ni3SbP6O24 crystal. The functional is PBE+U.

The structure in extended XYZ format:
```
36
Lattice="4.333 2.501 6.836 -4.333 2.501 6.836 0.000 -5.003 6.836" Properties=species:S:1:pos:R:3 pbc="T T T"
Co 0.000 0.000 0.000
Co 0.000 0.000 10.049
Ni 0.000 0.000 2.779
Ni 0.000 0.000 7.120
Ni 0.000 0.000 12.954
Sb 0.000 0.000 17.401
P -3.024 -0.285 8.311
P -1.234 -2.772 11.749
P 1.759 -2.477 8.311
P -1.784 2.454 11.749
P 1.265 2.762 8.311
P 3.017 0.318 11.749
O 0.824 1.518 16.475
O -3.659 1.143 8.157
O -2.851 -2.587 11.947
O -0.916 -1.509 6.190
O -0.907 -3.501 10.472
O -1.502 -0.101 8.591
O 0.840 -3.740 8.157
O -0.849 1.548 6.190
O -2.579 2.536 10.472
O -0.683 -1.325 11.526
O 0.839 -1.250 8.591
O -1.716 0.073 13.932
O 1.765 -0.039 6.190
O -0.806 1.254 11.526
O 0.663 1.351 8.591
O -1.727 -0.045 16.475
O 0.795 -1.523 13.932
O 1.489 0.071 11.526
O -0.815 3.763 11.947
O 0.903 -1.473 16.475
O 0.921 1.450 13.932
O 2.819 2.597 8.157
O 3.666 -1.176 11.947
O 3.485 0.965 10.472
```

Summary:
- Size of the total moment: 12.2 μB per cell
- Crystal system: trigonal
- Energy of formation from the pure elements: -199 kJ/mol of atoms